Entry 1:
# Nd2CdAs2O, relaxed, DFT PBE
data_Nd2CdAs2O
_chemical_formula_sum 'Nd2 Cd1 As2 O1'
_cell_length_a 3.401
_cell_length_b 3.401
_cell_length_c 15.475
_cell_angle_alpha 90.00
_cell_angle_beta 90.00
_cell_angle_gamma 90.00
_symmetry_space_group_name_H-M 'P 4/m m m'
_symmetry_Int_Tables_number 123
_symmetry_space_group_name_Hall '-P 4 2'
loop_
_atom_site_label
_atom_site_type_symbol
_atom_site_fract_x
_atom_site_fract_y
_atom_site_fract_z
Nd1 Nd 0.000 0.000 0.136
Cd1 Cd 0.000 0.000 0.500
As1 As 0.000 0.000 0.336
O1 O 0.000 0.000 0.000
# total magnetization = 0.883 μB per cell
# E (MP2020) = -4.537 eV per atom
# volume = 179 Å³/f.u.


Entry 2:
# Sr2SO, relaxed, DFT PBE
data_Sr2SO
_chemical_formula_sum 'Sr2 S1 O1'
_cell_length_a 4.043
_cell_length_b 4.043
_cell_length_c 5.718
_cell_angle_alpha 90.00
_cell_angle_beta 90.00
_cell_angle_gamma 90.00
_symmetry_space_group_name_H-M 'P 4/m m m'
_symmetry_Int_Tables_number 123
_symmetry_space_group_name_Hall '-P 4 2'
loop_
_atom_site_label
_atom_site_type_symbol
_atom_site_fract_x
_atom_site_fract_y
_atom_site_fract_z
Sr1 Sr 0.000 0.000 0.000
Sr2 Sr 0.500 0.500 0.500
S1 S 0.000 0.000 0.500
O1 O 0.500 0.500 0.000
# total magnetization = 0.000 μB per cell
# E (MP2020) = -5.628 eV per atom
# volume = 93 Å³/f.u.


Entry 3:
# MgCdPd2, relaxed, DFT PBE
data_MgCdPd2
_chemical_formula_sum 'Mg4 Cd4 Pd8'
_cell_length_a 6.480
_cell_length_b 6.480
_cell_length_c 6.480
_cell_angle_alpha 90.00
_cell_angle_beta 90.00
_cell_angle_gamma 90.00
_symmetry_space_group_name_H-M 'F m -3 m'
_symmetry_Int_Tables_number 225
_symmetry_space_group_name_Hall '-F 4 2 3'
loop_
_atom_site_label
_atom_site_type_symbol
_atom_site_fract_x
_atom_site_fract_y
_atom_site_fract_z
Mg1 Mg 0.000 0.000 0.000
Cd1 Cd 0.000 0.000 0.500
Pd1 Pd 0.250 0.250 0.250
# E = -3.7956 eV per atom
# volume = 68 Å³/f.u.


Entry 4:
# PtPb, relaxed, DFT PBE
data_PtPb
_chemical_formula_sum 'Pt2 Pb2'
_cell_length_a 4.3877
_cell_length_b 4.3877
_cell_length_c 5.5793
_cell_angle_alpha 90.00
_cell_angle_beta 90.00
_cell_angle_gamma 120.00
_symmetry_space_group_name_H-M 'P 63/m m c'
_symmetry_Int_Tables_number 194
_symmetry_space_group_name_Hall '-P 6c 2c'
loop_
_atom_site_label
_atom_site_type_symbol
_atom_site_fract_x
_atom_site_fract_y
_atom_site_fract_z
Pt1 Pt 0.0000 0.0000 0.0000
Pb1 Pb 0.3333 0.6667 0.2500
# E = -5.1220 eV per atom
# volume = 47 Å³/f.u.


Entry 5:
# Ag7Te4, relaxed, DFT PBE
data_Ag7Te4
_chemical_formula_sum 'Ag35 Te20'
_cell_length_a 13.4110
_cell_length_b 13.4110
_cell_length_c 9.1987
_cell_angle_alpha 90.00
_cell_angle_beta 90.00
_cell_angle_gamma 120.00
_symmetry_space_group_name_H-M 'P 6/m m m'
_symmetry_Int_Tables_number 191
_symmetry_space_group_name_Hall '-P 6 2'
loop_
_atom_site_label
_atom_site_type_symbol
_atom_site_fract_x
_atom_site_fract_y
_atom_site_fract_z
Ag1 Ag 0.0000 0.0000 0.1454
Ag2 Ag 0.0000 0.5000 0.0000
Ag3 Ag 0.1224 0.2447 0.0000
Ag4 Ag 0.1254 0.4616 0.5000
Ag5 Ag 0.2540 0.5080 0.2351
Te1 Te 0.0000 0.2124 0.5000
Te2 Te 0.0000 0.3390 0.1881
Te3 Te 0.3333 0.6667 0.0000
# total magnetization = 0.527 μB per cell
# E (MP2020) = -2.925 eV per atom
# volume = 287 Å³/f.u.


Entry 6:
# CePRu2C, relaxed, DFT PBE
data_CePRu2C
_chemical_formula_sum 'Ce4 P4 Ru8 C4'
_cell_length_a 3.872
_cell_length_b 11.074
_cell_length_c 7.109
_cell_angle_alpha 90.00
_cell_angle_beta 90.00
_cell_angle_gamma 90.00
_symmetry_space_group_name_H-M 'C m c m'
_symmetry_Int_Tables_number 63
_symmetry_space_group_name_Hall '-C 2c 2'
loop_
_atom_site_label
_atom_site_type_symbol
_atom_site_fract_x
_atom_site_fract_y
_atom_site_fract_z
Ce1 Ce 0.000 0.047 0.250
P1 P 0.000 0.229 0.750
Ru1 Ru 0.000 0.333 0.055
C1 C 0.000 0.500 0.000
# E = -8.4712 eV per atom
# total magnetization = 0.023 μB per cell
# volume = 76 Å³/f.u.


Entry 7:
# LaH9S2O12, relaxed, DFT PBE
data_LaH9S2O12
_chemical_formula_sum 'La4 H36 S8 O48'
_cell_length_a 11.291
_cell_length_b 6.961
_cell_length_c 13.639
_cell_angle_alpha 90.00
_cell_angle_beta 110.78
_cell_angle_gamma 90.00
_symmetry_space_group_name_H-M 'P 1 21/c 1'
_symmetry_Int_Tables_number 14
loop_
_symmetry_equiv_pos_as_xyz
'x,y,z'
'-x,-y,-z'
'-x,y+1/2,-z+1/2'
'x,-y+1/2,z+1/2'
loop_
_atom_site_label
_atom_site_type_symbol
_atom_site_fract_x
_atom_site_fract_y
_atom_site_fract_z
La1 La 0.144 0.232 0.404
H1 H 0.128 0.662 0.093
H2 H 0.147 0.602 0.209
H3 H 0.193 0.580 0.745
H4 H 0.313 0.579 0.848
H5 H 0.319 0.134 0.772
H6 H 0.347 0.523 0.361
H7 H 0.364 0.623 0.591
H8 H 0.374 0.628 0.088
H9 H 0.454 0.743 0.702
S1 S 0.016 0.748 0.395
S2 S 0.428 0.244 0.597
O1 O 0.029 0.194 0.717
O2 O 0.081 0.560 0.408
O3 O 0.092 0.240 0.068
O4 O 0.107 0.700 0.155
O5 O 0.110 0.605 0.958
O6 O 0.242 0.001 0.305
O7 O 0.282 0.068 0.818
O8 O 0.344 0.088 0.048
O9 O 0.360 0.074 0.533
O10 O 0.375 0.749 0.131
O11 O 0.435 0.216 0.708
O12 O 0.444 0.733 0.407
# total magnetization = 0.000 μB per cell
# E (MP2020) = -6.107 eV per atom
# volume = 251 Å³/f.u.


Entry 8:
# Na4TaAl3Si3S3O24, relaxed, DFT PBE
data_Na4TaAl3Si3S3O24
_chemical_formula_sum 'Na12 Ta3 Al9 Si9 S9 O72'
_cell_length_a 8.688
_cell_length_b 8.690
_cell_length_c 22.057
_cell_angle_alpha 89.72
_cell_angle_beta 89.67
_cell_angle_gamma 60.16
_symmetry_space_group_name_H-M 'P 1'
_symmetry_Int_Tables_number 1
loop_
_symmetry_equiv_pos_as_xyz
'x,y,z'
loop_
_atom_site_label
_atom_site_type_symbol
_atom_site_fract_x
_atom_site_fract_y
_atom_site_fract_z
Na1 Na 0.000 0.000 0.000
Na2 Na 0.000 0.001 0.498
Na3 Na 0.001 0.364 0.241
Na4 Na 0.322 0.333 0.835
Na5 Na 0.332 0.698 0.576
Na6 Na 0.333 0.345 0.326
Na7 Na 0.628 0.372 0.744
Na8 Na 0.636 0.998 0.241
Na9 Na 0.653 0.666 0.166
Na10 Na 0.667 0.679 0.659
Na11 Na 0.695 0.972 0.577
Na12 Na 0.971 0.334 0.576
Ta1 Ta 0.000 0.000 0.344
Ta2 Ta 0.001 0.000 0.855
Ta3 Ta 0.665 0.668 0.013
Al1 Al 0.000 0.999 0.635
Al2 Al 0.327 0.333 0.667
Al3 Al 0.332 0.335 0.486
Al4 Al 0.332 0.335 0.968
Al5 Al 0.334 0.338 0.187
Al6 Al 0.661 0.667 0.302
Al7 Al 0.665 0.668 0.519
Al8 Al 0.667 0.672 0.818
Al9 Al 0.999 0.002 0.151
Si1 Si 0.000 0.708 0.241
Si2 Si 0.045 0.622 0.577
Si3 Si 0.295 0.994 0.239
Si4 Si 0.333 0.047 0.577
Si5 Si 0.387 0.961 0.909
Si6 Si 0.620 0.334 0.578
Si7 Si 0.652 0.389 0.908
Si8 Si 0.705 0.298 0.241
Si9 Si 0.959 0.653 0.909
S1 S 0.005 0.292 0.741
S2 S 0.052 0.327 0.079
S3 S 0.288 0.711 0.741
S4 S 0.325 0.619 0.079
S5 S 0.386 0.661 0.412
S6 S 0.619 0.054 0.079
S7 S 0.659 0.956 0.412
S8 S 0.708 0.996 0.742
S9 S 0.954 0.386 0.412
O1 O 0.019 0.819 0.588
O2 O 0.022 0.183 0.796
O3 O 0.029 0.169 0.082
O4 O 0.038 0.799 0.302
O5 O 0.124 0.491 0.635
O6 O 0.131 0.353 0.134
O7 O 0.132 0.366 0.415
O8 O 0.150 0.493 0.922
O9 O 0.156 0.314 0.024
O10 O 0.160 0.042 0.301
O11 O 0.161 0.022 0.588
O12 O 0.166 0.305 0.737
O13 O 0.168 0.798 0.083
O14 O 0.169 0.513 0.234
O15 O 0.177 0.543 0.519
O16 O 0.180 0.802 0.796
O17 O 0.190 0.975 0.902
O18 O 0.199 0.819 0.687
O19 O 0.202 0.958 0.183
O20 O 0.204 0.826 0.408
O21 O 0.280 0.179 0.519
O22 O 0.305 0.533 0.740
O23 O 0.310 0.173 0.233
O24 O 0.311 0.533 0.024
O25 O 0.351 0.510 0.133
O26 O 0.357 0.152 0.922
O27 O 0.366 0.503 0.415
O28 O 0.386 0.125 0.635
O29 O 0.466 0.687 0.467
O30 O 0.466 0.833 0.970
O31 O 0.467 0.693 0.745
O32 O 0.487 0.831 0.255
O33 O 0.490 0.360 0.921
O34 O 0.491 0.638 0.076
O35 O 0.491 0.648 0.357
O36 O 0.495 0.381 0.640
O37 O 0.501 0.869 0.850
O38 O 0.502 0.135 0.416
O39 O 0.504 0.850 0.566
O40 O 0.514 0.133 0.134
O41 O 0.518 0.305 0.235
O42 O 0.531 0.158 0.024
O43 O 0.533 0.161 0.740
O44 O 0.537 0.283 0.521
O45 O 0.631 0.498 0.846
O46 O 0.638 0.870 0.075
O47 O 0.644 0.506 0.567
O48 O 0.646 0.869 0.356
O49 O 0.684 0.848 0.467
O50 O 0.693 0.836 0.748
O51 O 0.695 0.482 0.255
O52 O 0.700 0.472 0.967
O53 O 0.797 0.161 0.302
O54 O 0.799 0.023 0.796
O55 O 0.799 0.033 0.082
O56 O 0.816 0.977 0.687
O57 O 0.817 0.163 0.589
O58 O 0.825 0.973 0.409
O59 O 0.828 0.690 0.256
O60 O 0.830 0.703 0.970
O61 O 0.835 0.192 0.901
O62 O 0.840 0.468 0.746
O63 O 0.842 0.208 0.185
O64 O 0.846 0.468 0.467
O65 O 0.847 0.648 0.566
O66 O 0.867 0.487 0.356
O67 O 0.868 0.492 0.075
O68 O 0.869 0.627 0.850
O69 O 0.947 0.848 0.186
O70 O 0.971 0.203 0.408
O71 O 0.973 0.836 0.902
O72 O 0.976 0.204 0.688
# total magnetization = 0.000 μB per cell
# E (MP2020) = -7.304 eV per atom
# volume = 482 Å³/f.u.


Entry 9:
# SrP2Xe3F18, relaxed, DFT PBE
data_SrP2Xe3F18
_chemical_formula_sum 'Sr4 P8 Xe12 F72'
_cell_length_a 12.594
_cell_length_b 12.260
_cell_length_c 11.184
_cell_angle_alpha 90.00
_cell_angle_beta 98.78
_cell_angle_gamma 90.00
_symmetry_space_group_name_H-M 'C 1 2/m 1'
_symmetry_Int_Tables_number 12
loop_
_symmetry_equiv_pos_as_xyz
'x,y,z'
'-x,-y,-z'
'-x,y,-z'
'x,-y,z'
'x+1/2,y+1/2,z'
'-x+1/2,-y+1/2,-z'
'-x+1/2,y+1/2,-z'
'x+1/2,-y+1/2,z'
loop_
_atom_site_label
_atom_site_type_symbol
_atom_site_fract_x
_atom_site_fract_y
_atom_site_fract_z
Sr1 Sr 0.215 0.000 0.226
P1 P 0.200 0.500 0.093
P2 P 0.250 0.250 0.500
Xe1 Xe 0.000 0.000 0.500
Xe2 Xe 0.000 0.500 0.500
Xe3 Xe 0.056 0.237 0.835
F1 F 0.041 0.000 0.326
F2 F 0.077 0.144 0.137
F3 F 0.087 0.500 0.673
F4 F 0.103 0.500 0.172
F5 F 0.117 0.500 0.965
F6 F 0.140 0.230 0.557
F7 F 0.181 0.311 0.385
F8 F 0.190 0.326 0.810
F9 F 0.197 0.000 0.991
F10 F 0.202 0.367 0.090
F11 F 0.209 0.000 0.786
F12 F 0.232 0.130 0.428
# total magnetization = 0.000 μB per cell
# E (MP2020) = -4.281 eV per atom
# volume = 427 Å³/f.u.


Entry 10:
# SrAl3Ag, relaxed, DFT PBE
data_SrAl3Ag
_chemical_formula_sum 'Sr2 Al6 Ag2'
_cell_length_a 4.361
_cell_length_b 4.361
_cell_length_c 11.606
_cell_angle_alpha 90.00
_cell_angle_beta 90.00
_cell_angle_gamma 90.00
_symmetry_space_group_name_H-M 'I 4 m m'
_symmetry_Int_Tables_number 107
_symmetry_space_group_name_Hall 'I 4 -2'
loop_
_atom_site_label
_atom_site_type_symbol
_atom_site_fract_x
_atom_site_fract_y
_atom_site_fract_z
Sr1 Sr 0.000 0.000 0.000
Al1 Al 0.000 0.000 0.608
Al2 Al 0.000 0.500 0.245
Ag1 Ag 0.000 0.000 0.380
# E = -3.4325 eV per atom
# volume = 110 Å³/f.u.


Entry 11:
# ThTeO, relaxed, DFT PBE
data_ThTeO
_chemical_formula_sum 'Th2 Te2 O2'
_cell_length_a 4.140
_cell_length_b 4.140
_cell_length_c 7.696
_cell_angle_alpha 90.00
_cell_angle_beta 90.00
_cell_angle_gamma 90.00
_symmetry_space_group_name_H-M 'P 4/n m m'
_symmetry_Int_Tables_number 129
loop_
_symmetry_equiv_pos_as_xyz
'x,y,z'
'-x,-y,-z'
'-y+1/2,x,z'
'y+1/2,-x,-z'
'-x+1/2,-y+1/2,z'
'x+1/2,y+1/2,-z'
'y,-x+1/2,z'
'-y,x+1/2,-z'
'x+1/2,-y,-z'
'-x+1/2,y,z'
'-y,-x,-z'
'y,x,z'
'-x,y+1/2,-z'
'x,-y+1/2,z'
'y+1/2,x+1/2,-z'
'-y+1/2,-x+1/2,z'
loop_
_atom_site_label
_atom_site_type_symbol
_atom_site_fract_x
_atom_site_fract_y
_atom_site_fract_z
Th1 Th 0.250 0.250 0.168
Te1 Te 0.250 0.250 0.635
O1 O 0.250 0.750 0.000
# E (MP2020) = -8.023 eV per atom
# volume = 66 Å³/f.u.


> volume of number 5 (Ag7Te4)?

287 Å³/f.u.